VASP calculation (PBE) on an optimized crystal structure of Li8ZrO6.

Cell lengths 5.7497, 5.7497, 10.9059 Å; angles 90.00, 90.00, 120.00 degrees
Last column: nearest neighbours and their distance in Å.
Atoms (fractional coordinates):
Li 0.0000 0.3240 0.0000  4 O 1.97-2.10, 1 Li 2.17
Li 0.0000 0.4093 0.3590  3 O 1.97-2.00, 1 Li 2.17
Li 0.0000 0.5907 0.8590  3 O 1.97-2.00, 1 Li 2.17
Li 0.0000 0.6760 0.5000  4 O 1.97-2.10, 1 Li 2.17
Li 0.3240 0.0000 0.0000  4 O 1.97-2.10, 1 Li 2.17
Li 0.3240 0.3240 0.5000  4 O 1.97-2.10, 1 Li 2.17
Li 0.3333 0.6667 0.1387  4 O 1.97-2.12
Li 0.3333 0.6667 0.6387  4 O 1.97-2.12
Li 0.4093 0.0000 0.3590  3 O 1.97-2.00, 1 Li 2.17
Li 0.4093 0.4093 0.8590  3 O 1.97-2.00, 1 Li 2.17
Li 0.5907 0.0000 0.8590  3 O 1.97-2.00, 1 Li 2.17
Li 0.5907 0.5907 0.3590  3 O 1.97-2.00, 1 Li 2.17
Li 0.6667 0.3333 0.1387  4 O 1.97-2.12
Li 0.6667 0.3333 0.6387  4 O 1.97-2.12
Li 0.6760 0.0000 0.5000  4 O 1.97-2.10, 1 Li 2.17
Li 0.6760 0.6760 0.0000  4 O 1.97-2.10, 1 Li 2.17
Zr 0.0000 0.0000 0.2263  4 O 1.99-2.01
Zr 0.0000 0.0000 0.7263  4 O 1.99-2.01
O 0.0000 0.0000 0.4110  1 Zr 2.01, 3 Li 2.10
O 0.0000 0.0000 0.9110  1 Zr 2.01, 3 Li 2.10
O 0.0000 0.3341 0.1802  4 Li 1.97-2.00, 1 Zr 1.99
O 0.0000 0.6659 0.6802  4 Li 1.97-2.00, 1 Zr 1.99
O 0.3333 0.6667 0.4445  7 Li 1.97-2.12
O 0.3333 0.6667 0.9445  7 Li 1.97-2.12
O 0.3341 0.0000 0.1802  4 Li 1.97-2.00, 1 Zr 1.99
O 0.3341 0.3341 0.6802  4 Li 1.97-2.00, 1 Zr 1.99
O 0.6659 0.0000 0.6802  4 Li 1.97-2.00, 1 Zr 1.99
O 0.6659 0.6659 0.1802  4 Li 1.97-2.00, 1 Zr 1.99
O 0.6667 0.3333 0.4445  7 Li 1.97-2.12
O 0.6667 0.3333 0.9445  7 Li 1.97-2.12

Summary:
**Formation energy from the elements**: -2.4086 eV per atom
**Space group**: P6_3cm, No. 185
**Relative energy among the computed polymorphs**: 0.814 eV/f.u.
**Spin magnetization**: 0.000 μB/f.u.
**DFT total energy**: -171.03 eV for the cell shown

=====

VASP calculation (PBE) on an optimized crystal structure of Ru5C14S2O14.

Cell lengths 8.8760, 14.7027, 20.6695 Å; angles 90.00, 107.04, 90.00 degrees
Last column: nearest neighbours and their distance in Å.
Atoms (fractional coordinates):
Ru 0.0137 0.2005 0.1109  3 C 1.89-1.95
Ru 0.0137 0.2995 0.6109  3 C 1.89-1.95
Ru 0.1564 0.1540 0.6924  2 C 1.86-1.87
Ru 0.1564 0.3460 0.1924  2 C 1.86-1.87
Ru 0.1829 0.2357 0.0212  3 C 1.90-1.93
Ru 0.1829 0.2643 0.5212  3 C 1.90-1.93
Ru 0.3326 0.1177 0.5996  2 C 1.86-1.87
Ru 0.3326 0.3823 0.0996  2 C 1.86-1.87
Ru 0.3817 0.0169 0.7171  4 C 1.91-1.96
Ru 0.3817 0.4831 0.2171  4 C 1.91-1.96
Ru 0.6183 0.5169 0.7829  4 C 1.91-1.96
Ru 0.6183 0.9831 0.2829  4 C 1.91-1.96
Ru 0.6674 0.6177 0.9004  2 C 1.86-1.87
Ru 0.6674 0.8823 0.4004  2 C 1.86-1.87
Ru 0.8171 0.7357 0.4788  3 C 1.90-1.93
Ru 0.8171 0.7643 0.9788  3 C 1.90-1.93
Ru 0.8436 0.6540 0.8076  2 C 1.86-1.87
Ru 0.8436 0.8460 0.3076  2 C 1.86-1.87
Ru 0.9863 0.7005 0.3891  3 C 1.89-1.95
Ru 0.9863 0.7995 0.8891  3 C 1.89-1.95
C 0.0102 0.2170 0.9428  1 O 1.16
C 0.0102 0.2830 0.4428  1 O 1.16
C 0.0162 0.0739 0.7143  1 O 1.17
C 0.0162 0.4261 0.2143  1 O 1.17
C 0.0369 0.0726 0.1151  1 O 1.16
C 0.0369 0.4274 0.6151  1 O 1.16
C 0.0369 0.7167 0.3044  1 O 1.17
C 0.0369 0.7833 0.8044  1 O 1.17
C 0.1981 0.6899 0.4443  1 O 1.16
C 0.1981 0.8101 0.9443  1 O 1.16
C 0.2033 0.5530 0.1606  1 O 1.16
C 0.2033 0.9470 0.6606  1 O 1.16
C 0.2341 0.1771 0.7852  1 O 1.17
C 0.2341 0.3229 0.2852  1 O 1.17
C 0.2744 0.1242 0.0057  1 O 1.16
C 0.2744 0.3758 0.5057  1 O 1.16
C 0.3046 0.1898 0.4780  1 O 1.16
C 0.3046 0.3102 0.9780  1 O 1.16
C 0.3307 0.0104 0.5509  1 O 1.16
C 0.3307 0.4896 0.0509  1 O 1.16
C 0.3714 0.5316 0.3017  1 O 1.16
C 0.3714 0.9684 0.8017  1 O 1.16
C 0.4505 0.6261 0.8858  1 O 1.17
C 0.4505 0.8739 0.3858  1 O 1.17
C 0.4586 0.0652 0.2914  1 O 1.16
C 0.4586 0.4348 0.7914  1 O 1.16
C 0.4683 0.6141 0.7433  1 O 1.16
C 0.4683 0.8859 0.2433  1 O 1.16
C 0.5317 0.1141 0.7567  1 O 1.16
C 0.5317 0.3859 0.2567  1 O 1.16
C 0.5414 0.5652 0.2086  1 O 1.16
C 0.5414 0.9348 0.7086  1 O 1.16
C 0.5495 0.1261 0.6142  1 O 1.17
C 0.5495 0.3739 0.1142  1 O 1.17
C 0.6286 0.0316 0.1983  1 O 1.16
C 0.6286 0.4684 0.6983  1 O 1.16
C 0.6693 0.5104 0.9491  1 O 1.16
C 0.6693 0.9896 0.4491  1 O 1.16
C 0.6954 0.6898 0.0220  1 O 1.16
C 0.6954 0.8102 0.5220  1 O 1.16
C 0.7256 0.6242 0.4943  1 O 1.16
C 0.7256 0.8758 0.9943  1 O 1.16
C 0.7659 0.6771 0.7148  1 O 1.17
C 0.7659 0.8229 0.2148  1 O 1.17
C 0.7967 0.0530 0.3394  1 O 1.16
C 0.7967 0.4470 0.8394  1 O 1.16
C 0.8019 0.1899 0.0557  1 O 1.16
C 0.8019 0.3101 0.5557  1 O 1.16
C 0.9631 0.2167 0.1956  1 O 1.17
C 0.9631 0.2833 0.6956  1 O 1.17
C 0.9631 0.5726 0.3849  1 O 1.16
C 0.9631 0.9274 0.8849  1 O 1.16
C 0.9838 0.5739 0.7857  1 O 1.17
C 0.9838 0.9261 0.2857  1 O 1.17
C 0.9898 0.7170 0.5572  1 O 1.16
C 0.9898 0.7830 0.0572  1 O 1.16
S 0.0400 0.1444 0.5657  4 Ru 2.50-2.52
S 0.0400 0.3556 0.0657  4 Ru 2.50-2.52
S 0.3050 0.2269 0.1462  4 Ru 2.50-2.54
S 0.3050 0.2731 0.6462  4 Ru 2.50-2.54
S 0.6950 0.7269 0.3538  4 Ru 2.50-2.54
S 0.6950 0.7731 0.8538  4 Ru 2.50-2.54
S 0.9600 0.6444 0.9343  4 Ru 2.50-2.52
S 0.9600 0.8556 0.4343  4 Ru 2.50-2.52
O 0.0540 0.5058 0.6166  1 C 1.16
O 0.0540 0.9942 0.1166  1 C 1.16
O 0.0714 0.5248 0.7709  1 C 1.17
O 0.0714 0.9752 0.2709  1 C 1.17
O 0.0932 0.7041 0.2607  1 C 1.17
O 0.0932 0.7959 0.7607  1 C 1.17
O 0.0960 0.7060 0.6049  1 C 1.16
O 0.0960 0.7940 0.1049  1 C 1.16
O 0.0981 0.5946 0.1276  1 C 1.16
O 0.0981 0.9054 0.6276  1 C 1.16
O 0.2772 0.1894 0.8434  1 C 1.17
O 0.2772 0.3106 0.3434  1 C 1.17
O 0.3152 0.6339 0.8770  1 C 1.17
O 0.3152 0.8661 0.3770  1 C 1.17
O 0.3268 0.6851 0.4793  1 C 1.16
O 0.3268 0.8149 0.9793  1 C 1.16
O 0.3290 0.0552 0.9972  1 C 1.16
O 0.3290 0.4448 0.4972  1 C 1.16
O 0.3294 0.5551 0.0191  1 C 1.16
O 0.3294 0.9449 0.5191  1 C 1.16
O 0.3606 0.1133 0.2976  1 C 1.16
O 0.3606 0.3867 0.7976  1 C 1.16
O 0.3621 0.1563 0.4401  1 C 1.16
O 0.3621 0.3437 0.9401  1 C 1.16
O 0.3635 0.5591 0.3531  1 C 1.16
O 0.3635 0.9409 0.8531  1 C 1.16
O 0.3777 0.6694 0.7180  1 C 1.16
O 0.3777 0.8306 0.2180  1 C 1.16
O 0.6223 0.1694 0.7820  1 C 1.16
O 0.6223 0.3306 0.2820  1 C 1.16
O 0.6365 0.0591 0.1469  1 C 1.16
O 0.6365 0.4409 0.6469  1 C 1.16
O 0.6379 0.6563 0.0599  1 C 1.16
O 0.6379 0.8437 0.5599  1 C 1.16
O 0.6394 0.6133 0.2024  1 C 1.16
O 0.6394 0.8867 0.7024  1 C 1.16
O 0.6706 0.0551 0.4809  1 C 1.16
O 0.6706 0.4449 0.9809  1 C 1.16
O 0.6710 0.5552 0.5028  1 C 1.16
O 0.6710 0.9448 0.0028  1 C 1.16
O 0.6732 0.1851 0.0207  1 C 1.16
O 0.6732 0.3149 0.5207  1 C 1.16
O 0.6848 0.1339 0.6230  1 C 1.17
O 0.6848 0.3661 0.1230  1 C 1.17
O 0.7228 0.6894 0.6566  1 C 1.17
O 0.7228 0.8106 0.1566  1 C 1.17
O 0.9019 0.0946 0.3724  1 C 1.16
O 0.9019 0.4054 0.8724  1 C 1.16
O 0.9040 0.2060 0.8951  1 C 1.16
O 0.9040 0.2940 0.3951  1 C 1.16
O 0.9068 0.2041 0.2393  1 C 1.17
O 0.9068 0.2959 0.7393  1 C 1.17
O 0.9286 0.0248 0.7291  1 C 1.17
O 0.9286 0.4752 0.2291  1 C 1.17
O 0.9460 0.0058 0.8834  1 C 1.16
O 0.9460 0.4942 0.3834  1 C 1.16

Summary:
**Formation energy from the elements**: -0.9517 eV per atom
**Space group**: P2_1/c, No. 14
**Spin magnetization**: 0.001 μB/f.u.
**DFT total energy**: -1103.21 eV for the cell shown

=====

VASP calculation (PBE) on an optimized crystal structure of Te6Mo3WS2.

Cell lengths 3.4504, 3.4504, 39.3410 Å; angles 90.00, 90.00, 120.00 degrees
Last column: nearest neighbours and their distance in Å.
Atoms (fractional coordinates):
Te 0.0000 0.0000 0.0000  3 Mo 2.72
Te 0.0000 0.0000 0.0942  3 Mo 2.72
Te 0.0000 0.0000 0.3758  3 Mo 2.72
Te 0.0000 0.0000 0.4700  3 Mo 2.72
Te 0.6667 0.3333 0.1879  3 Mo 2.72
Te 0.6667 0.3333 0.2821  3 Mo 2.72
Mo 0.0000 0.0000 0.2350  6 Te 2.72
Mo 0.6667 0.3333 0.0470  6 Te 2.72
Mo 0.6667 0.3333 0.4229  6 Te 2.72
W 0.0000 0.0000 0.6107  6 S 2.49
S 0.6667 0.3333 0.5728  3 W 2.49
S 0.6667 0.3333 0.6487  3 W 2.49

Summary:
**Formation energy from the elements**: -0.4319 eV per atom
**Space group**: P3m1, No. 156
**Relative energy among the computed polymorphs**: 0.000 eV/f.u.
**Spin magnetization**: 0.004 μB/f.u.
**DFT total energy**: -76.80 eV for the cell shown

=====

VASP calculation (PBE) on an optimized crystal structure of Sm3Co8Sn4.

Cell lengths 8.9357, 8.9357, 7.6049 Å; angles 90.00, 90.00, 120.00 degrees
Last column: nearest neighbours and their distance in Å.
Atoms (fractional coordinates):
Sm 0.0493 0.5246 0.0000  6 Co 3.11-3.36, 6 Sn 3.20-3.28
Sm 0.4754 0.5246 0.0000  6 Co 3.11-3.36, 6 Sn 3.20-3.28
Sm 0.4754 0.9507 0.0000  6 Co 3.11-3.36, 6 Sn 3.20-3.28
Sm 0.5246 0.0493 0.5000  6 Co 3.11-3.36, 6 Sn 3.20-3.28
Sm 0.5246 0.4754 0.5000  6 Co 3.11-3.36, 6 Sn 3.20-3.28
Sm 0.9507 0.4754 0.5000  6 Co 3.11-3.36, 6 Sn 3.20-3.28
Co 0.0000 0.0000 0.2835  9 Co 2.38-2.46
Co 0.0000 0.0000 0.7835  9 Co 2.38-2.46
Co 0.0959 0.1918 0.0279  7 Co 2.38-2.57
Co 0.0959 0.9041 0.0279  7 Co 2.38-2.57
Co 0.1570 0.3140 0.3374  4 Co 2.46-2.57, 3 Sn 2.72-2.73
Co 0.1570 0.8430 0.3374  4 Co 2.46-2.57, 3 Sn 2.72-2.73
Co 0.1918 0.0959 0.5279  7 Co 2.38-2.57
Co 0.3140 0.1570 0.8374  4 Co 2.46-2.57, 3 Sn 2.72-2.73
Co 0.3333 0.6667 0.6657  4 Sn 2.55-2.66
Co 0.6667 0.3333 0.1657  4 Sn 2.55-2.66
Co 0.6860 0.8430 0.3374  4 Co 2.46-2.57, 3 Sn 2.72-2.73
Co 0.8082 0.9041 0.0279  7 Co 2.38-2.57
Co 0.8430 0.1570 0.8374  4 Co 2.46-2.57, 3 Sn 2.72-2.73
Co 0.8430 0.6860 0.8374  4 Co 2.46-2.57, 3 Sn 2.72-2.73
Co 0.9041 0.0959 0.5279  7 Co 2.38-2.57
Co 0.9041 0.8082 0.5279  7 Co 2.38-2.57
Sn 0.1703 0.3405 0.7106  8 Co 2.55-2.85
Sn 0.1703 0.8297 0.7106  8 Co 2.55-2.85
Sn 0.3333 0.6667 0.3155  4 Co 2.66-2.73
Sn 0.3405 0.1703 0.2106  8 Co 2.55-2.85
Sn 0.6595 0.8297 0.7106  8 Co 2.55-2.85
Sn 0.6667 0.3333 0.8155  4 Co 2.66-2.73
Sn 0.8297 0.1703 0.2106  8 Co 2.55-2.85
Sn 0.8297 0.6595 0.2106  8 Co 2.55-2.85

Summary:
**Formation energy from the elements**: -0.2921 eV per atom
**Space group**: P6_3mc, No. 186
**Spin magnetization**: 6.454 μB/f.u.
**DFT total energy**: -182.88 eV for the cell shown

=====

VASP calculation (PBE) on an optimized crystal structure of La3AlZnS7.

Cell lengths 10.2828, 10.2828, 5.9889 Å; angles 90.00, 90.00, 120.00 degrees
Last column: nearest neighbours and their distance in Å.
Atoms (fractional coordinates):
La 0.1295 0.3719 0.0000  7 S 2.87-3.18
La 0.2424 0.8705 0.0000  7 S 2.87-3.18
La 0.3719 0.2424 0.5000  7 S 2.87-3.18
La 0.6281 0.7576 0.0000  7 S 2.87-3.18
La 0.7576 0.1295 0.5000  7 S 2.87-3.18
La 0.8705 0.6281 0.5000  7 S 2.87-3.18
Al 0.3333 0.6667 0.4186  4 S 2.22-2.26
Al 0.6667 0.3333 0.9186  4 S 2.22-2.26
Zn 0.0000 0.0000 0.2590  6 S 2.58-2.59
Zn 0.0000 0.0000 0.7590  6 S 2.58-2.59
S 0.0804 0.2330 0.5114  2 Zn 2.58-2.59
S 0.1044 0.5890 0.2690  1 Al 2.26
S 0.1526 0.9196 0.5114  2 Zn 2.58-2.59
S 0.2330 0.1526 0.0114  2 Zn 2.58-2.59
S 0.3333 0.6667 0.7889  1 Al 2.22
S 0.4110 0.5154 0.2690  1 Al 2.26
S 0.4846 0.8956 0.2690  1 Al 2.26
S 0.5154 0.1044 0.7690  1 Al 2.26
S 0.5890 0.4846 0.7690  1 Al 2.26
S 0.6667 0.3333 0.2889  1 Al 2.22
S 0.7670 0.8474 0.5114  2 Zn 2.58-2.59
S 0.8474 0.0804 0.0114  2 Zn 2.58-2.59
S 0.8956 0.4110 0.7690  1 Al 2.26
S 0.9196 0.7670 0.0114  2 Zn 2.58-2.59

Summary:
**Formation energy from the elements**: -2.0109 eV per atom
**Space group**: P6_3, No. 173
**Spin magnetization**: 0.001 μB/f.u.
**DFT total energy**: -138.76 eV for the cell shown

=====

VASP calculation (PBE) on an optimized crystal structure of Hg4GeS6.

Cell lengths 7.3079, 7.3079, 12.7266 Å; angles 107.07, 107.07, 60.76 degrees
Last column: nearest neighbours and their distance in Å.
Atoms (fractional coordinates):
Hg 0.0549 0.9451 0.5000  4 S 2.56-2.73
Hg 0.2382 0.4265 0.0066  4 S 2.55-2.74
Hg 0.4265 0.2382 0.5066  4 S 2.55-2.74
Hg 0.4294 0.8259 0.8418  4 S 2.59-2.78
Hg 0.6870 0.9336 0.1897  4 S 2.58-2.73
Hg 0.8259 0.4294 0.3418  4 S 2.59-2.78
Hg 0.9336 0.6870 0.6897  4 S 2.58-2.73
Hg 0.9451 0.0549 0.0000  4 S 2.56-2.73
Ge 0.2864 0.8290 0.2556  4 S 2.22-2.25
Ge 0.8290 0.2864 0.7556  4 S 2.22-2.25
S 0.0669 0.5677 0.5030  4 Hg 2.55-2.73
S 0.1033 0.6380 0.1953  1 Ge 2.22
S 0.1226 0.1455 0.2051  1 Ge 2.22
S 0.1455 0.1226 0.7051  1 Ge 2.22
S 0.1719 0.7063 0.8833  4 Hg 2.56-2.71
S 0.4012 0.8582 0.4395  1 Ge 2.23
S 0.5677 0.0669 0.0030  4 Hg 2.55-2.73
S 0.5820 0.6313 0.1789  1 Ge 2.25
S 0.6313 0.5820 0.6789  1 Ge 2.25
S 0.6380 0.1033 0.6953  1 Ge 2.22
S 0.7063 0.1719 0.3833  4 Hg 2.56-2.71
S 0.8582 0.4012 0.9395  1 Ge 2.23

Summary:
**Formation energy from the elements**: -0.4399 eV per atom
**Space group**: Cc, No. 9
**Spin magnetization**: 0.032 μB/f.u.
**DFT total energy**: -64.96 eV for the cell shown